1.
# SrC2 r2SCAN optimized geometry
data_SrC2
_symmetry_space_group_name_H-M 'I 4/m m m'
_symmetry_Int_Tables_number 139
_symmetry_space_group_name_Hall '-I 4 2'
_cell_length_a 4.098
_cell_length_b 4.098
_cell_length_c 6.813
_cell_angle_alpha 90.00
_cell_angle_beta 90.00
_cell_angle_gamma 90.00
loop_
_atom_site_label
_atom_site_fract_x
_atom_site_fract_y
_atom_site_fract_z
Sr1 0.000 0.000 0.000
C1 0.000 0.000 0.408
# * calculated volume: 19.068 A^3/atom
# * E_form: -36 kJ/mol of formula units
# * magnetization: 0.000 μB per formula unit

***

2.
# YbErSe2 r2SCAN optimized geometry
data_YbErSe2
_symmetry_space_group_name_H-M 'R -3 m'
_symmetry_Int_Tables_number 166
_symmetry_space_group_name_Hall '-R 3 2"'
_cell_length_a 3.9700
_cell_length_b 3.9700
_cell_length_c 19.7993
_cell_angle_alpha 90.00
_cell_angle_beta 90.00
_cell_angle_gamma 120.00
loop_
_atom_site_label
_atom_site_fract_x
_atom_site_fract_y
_atom_site_fract_z
Yb1 0.0000 0.0000 0.0000
Er1 0.0000 0.0000 0.5000
Se1 0.0000 0.0000 0.2511
# * calculated volume: 22.520 A^3/atom
# * E_form: -731 kJ/mol of formula units
# * magnetization: 0.000 μB per formula unit

***

3.
# LaPmIr2 r2SCAN optimized geometry
data_LaPmIr2
_symmetry_space_group_name_H-M 'F m -3 m'
_symmetry_Int_Tables_number 225
_symmetry_space_group_name_Hall '-F 4 2 3'
_cell_length_a 7.094
_cell_length_b 7.094
_cell_length_c 7.094
_cell_angle_alpha 90.00
_cell_angle_beta 90.00
_cell_angle_gamma 90.00
loop_
_atom_site_label
_atom_site_fract_x
_atom_site_fract_y
_atom_site_fract_z
La1 0.000 0.000 0.000
Pm1 0.000 0.000 0.500
Ir1 0.250 0.250 0.250
# * calculated volume: 22.316 A^3/atom
# * E_form: -261 kJ/mol of formula units
# * magnetization: 0.275 μB per formula unit

***

4.
# Nd3Pt4 r2SCAN optimized geometry
data_Nd3Pt4
_symmetry_space_group_name_H-M 'R -3'
_symmetry_Int_Tables_number 148
_symmetry_space_group_name_Hall '-R 3'
_cell_length_a 13.6646
_cell_length_b 13.6646
_cell_length_c 5.8017
_cell_angle_alpha 90.00
_cell_angle_beta 90.00
_cell_angle_gamma 120.00
loop_
_atom_site_label
_atom_site_fract_x
_atom_site_fract_y
_atom_site_fract_z
Nd1 0.0428 0.2089 0.2399
Pt1 0.0000 0.0000 0.0000
Pt2 0.0000 0.0000 0.5000
Pt3 0.0564 0.2774 0.7218
# * calculated volume: 22.337 A^3/atom
# * E_form: -814 kJ/mol of formula units
# * magnetization: 0.000 μB per formula unit

***

The evaluated calculated total energy for the records listed, in turn: -11.80; -26.66; -41.68; -43.24 eV per atom.